(1)
## YZn3P3 (PBE)

Data for an optimized crystal structure of YZn3P3.

Output
* formation energy from the elements: -608 meV/atom

Unit cell a=3.9967 b=3.9967 c=19.8836 alpha=90.00 beta=90.00 gamma=120.00
Space group P6_3/mmc (No. 194)
Asymmetric unit:
Y  0.0000  0.0000  0.0000 (multiplicity 2)
Zn  0.3333  0.6667  0.1283 (multiplicity 4)
Zn  0.3333  0.6667  0.7500 (multiplicity 2)
P  0.3333  0.6667  0.2500 (multiplicity 2)
P  0.3333  0.6667  0.5841 (multiplicity 4)

(2)
## Zn3P (PBE)

Data for an optimized crystal structure of Zn3P.

Output
* formation energy from the elements: 180 meV/atom
* magnetization: 0.0 μB per formula unit

Unit cell a=3.976 b=3.976 c=3.976 alpha=90.00 beta=90.00 gamma=90.00
Space group Pm-3m (No. 221)
Asymmetric unit:
Zn  0.000  0.000  0.500 (multiplicity 3)
P  0.500  0.500  0.500 (multiplicity 1)